#P
The following is a GGA-PBE calculation of a relaxed structure of Li2CuF4, from the Materials Project.

Values from the calculation:
The calculation puts the theoretical density at 2.64 Mg/m³.

Cell lengths 8.8628, 8.8628, 8.8628 Å; angles 107.01, 107.01, 107.01 degrees
Element x y z (fractional)
Li 0.1055 0.8730 0.2742
Li 0.1270 0.7258 0.8945
Li 0.2028 0.6105 0.4366
Li 0.2742 0.1055 0.8730
Li 0.3895 0.5634 0.7972
Li 0.4366 0.2028 0.6105
Li 0.5634 0.7972 0.3895
Li 0.6105 0.4366 0.2028
Li 0.7258 0.8945 0.1270
Li 0.7972 0.3895 0.5634
Li 0.8730 0.2742 0.1055
Li 0.8945 0.1270 0.7258
Cu 0.0635 0.2272 0.4642
Cu 0.2272 0.4642 0.0635
Cu 0.4642 0.0635 0.2272
Cu 0.5358 0.9365 0.7728
Cu 0.7728 0.5358 0.9365
Cu 0.9365 0.7728 0.5358
F 0.0077 0.7109 0.0413
F 0.0413 0.0077 0.7109
F 0.0430 0.3729 0.3382
F 0.0842 0.7531 0.4152
F 0.2469 0.5848 0.9158
F 0.2891 0.9587 0.9923
F 0.2997 0.3325 0.6330
F 0.3325 0.6330 0.2997
F 0.3382 0.0430 0.3729
F 0.3670 0.7003 0.6675
F 0.3729 0.3382 0.0430
F 0.4152 0.0842 0.7531
F 0.5848 0.9158 0.2469
F 0.6271 0.6618 0.9570
F 0.6330 0.2997 0.3325
F 0.6618 0.9570 0.6271
F 0.6675 0.3670 0.7003
F 0.7003 0.6675 0.3670
F 0.7109 0.0413 0.0077
F 0.7531 0.4152 0.0842
F 0.9158 0.2469 0.5848
F 0.9570 0.6271 0.6618
F 0.9587 0.9923 0.2891
F 0.9923 0.2891 0.9587


#Q
The following is a GGA-PBE calculation of a relaxed structure of Li2CuF4, from the Materials Project.

Values from the calculation:
The calculation puts the theoretical density at 3.15 Mg/m³.

Cell lengths 5.5959, 5.6022, 11.0564 Å; angles 90.00, 110.96, 90.00 degrees
Element x y z (fractional)
Li 0.1504 0.1220 0.2282
Li 0.1504 0.3780 0.7282
Li 0.3381 0.2409 0.9977
Li 0.3381 0.2591 0.4977
Li 0.6619 0.7409 0.5023
Li 0.6619 0.7591 0.0023
Li 0.8496 0.6220 0.2718
Li 0.8496 0.8780 0.7718
Cu 0.2559 0.6700 0.1204
Cu 0.2559 0.8300 0.6204
Cu 0.7441 0.1700 0.3796
Cu 0.7441 0.3300 0.8796
F 0.0205 0.1773 0.8429
F 0.0205 0.3227 0.3429
F 0.1073 0.1398 0.6019
F 0.1073 0.3602 0.1019
F 0.4093 0.5341 0.6091
F 0.4093 0.9659 0.1091
F 0.4353 0.0209 0.3780
F 0.4353 0.4791 0.8780
F 0.5647 0.5209 0.1220
F 0.5647 0.9791 0.6220
F 0.5907 0.0341 0.8909
F 0.5907 0.4659 0.3909
F 0.8927 0.6398 0.8981
F 0.8927 0.8602 0.3981
F 0.9795 0.6773 0.6571
F 0.9795 0.8227 0.1571


#Q has the most favorable energy; the next structure is 68 meV per atom above.


#P
The following is a GGA-PBE calculation of a relaxed structure of Li2CuF4, from the Materials Project.

Values from the calculation:
The calculation puts the theoretical density at 3.68 Mg/m³.

Cell lengths 5.6589, 5.6589, 5.6589 Å; angles 112.19, 112.19, 104.16 degrees
Element x y z (fractional)
Li 0.0000 0.0000 0.0000
Li 0.0000 0.0000 0.5000
Li 0.0000 0.5000 0.0000
Li 0.5000 0.0000 0.5000
Cu 0.3750 0.6250 0.7500
Cu 0.6250 0.3750 0.2500
F 0.1727 0.7146 0.4581
F 0.2436 0.2854 0.9581
F 0.2854 0.2436 0.4581
F 0.2854 0.8273 0.0419
F 0.7146 0.1727 0.9581
F 0.7146 0.7564 0.5419
F 0.7564 0.7146 0.0419
F 0.8273 0.2854 0.5419


#Q
The following is a GGA-PBE calculation of a relaxed structure of Li2CuF4, from the Materials Project.

Values from the calculation:
The calculation puts the theoretical density at 3.43 Mg/m³.

Cell lengths 3.1778, 9.1816, 5.2841 Å; angles 90.00, 105.58, 90.00 degrees
Element x y z (fractional)
Li 0.1032 0.1683 0.4337
Li 0.1032 0.3317 0.9337
Li 0.8968 0.6683 0.0663
Li 0.8968 0.8317 0.5663
Cu 0.5000 0.0000 0.0000
Cu 0.5000 0.5000 0.5000
F 0.0003 0.0623 0.7324
F 0.0003 0.4377 0.2324
F 0.9997 0.5623 0.7676
F 0.9997 0.9377 0.2676
F 0.4900 0.1817 0.1910
F 0.4900 0.3183 0.6910
F 0.5100 0.6817 0.3090
F 0.5100 0.8183 0.8090


#Q has the most favorable energy; the next structure is 13 meV per atom above.


#P
The following is a GGA-PBE calculation of a relaxed structure of Li2CuF4, from the Materials Project.

Values from the calculation:
The calculation puts the theoretical density at 3.49 Mg/m³.

Cell lengths 5.1510, 5.1510, 5.8720 Å; angles 90.00, 90.00, 69.51 degrees
Element x y z (fractional)
Li 0.0023 0.4977 0.2500
Li 0.4977 0.0023 0.7500
Li 0.5023 0.9977 0.2500
Li 0.9977 0.5023 0.7500
Cu 0.0000 0.0000 0.0000
Cu 0.5000 0.5000 0.5000
F 0.2320 0.2320 0.0000
F 0.2340 0.7660 0.7670
F 0.2660 0.7340 0.2670
F 0.2680 0.2680 0.5000
F 0.7320 0.7320 0.5000
F 0.7340 0.2660 0.7330
F 0.7660 0.2340 0.2330
F 0.7680 0.7680 0.0000


#Q
The following is a GGA-PBE calculation of a relaxed structure of Li2CuF4, from the Materials Project.

Values from the calculation:
The calculation puts the theoretical density at 3.34 Mg/m³.

Cell lengths 5.0497, 5.0497, 3.1265 Å; angles 90.00, 90.00, 107.10 degrees
Element x y z (fractional)
Li 0.0000 0.5000 0.0000
Li 0.5000 0.0000 0.0000
Cu 0.0000 0.0000 0.5000
F 0.2307 0.2307 0.0000
F 0.2365 0.7635 0.5000
F 0.7635 0.2365 0.5000
F 0.7693 0.7693 0.0000


#R
The following is a GGA-PBE calculation of a relaxed structure of Li2CuF4, from the Materials Project.

Values from the calculation:
The calculation puts the theoretical density at 3.32 Mg/m³.

Cell lengths 5.7369, 5.2360, 5.8111 Å; angles 90.00, 118.61, 90.00 degrees
Element x y z (fractional)
Li 0.0000 0.2107 0.0000
Li 0.0000 0.7893 0.5000
Li 0.2097 0.2705 0.5635
Li 0.2097 0.7295 0.0635
Cu 0.5610 0.2555 0.1038
Cu 0.5610 0.7445 0.6038
F 0.2117 0.4193 0.8811
F 0.2117 0.5807 0.3811
F 0.3756 0.0517 0.2427
F 0.3756 0.9483 0.7427
F 0.6916 0.4277 0.8971
F 0.6916 0.5723 0.3971
F 0.9082 0.0943 0.2871
F 0.9082 0.9057 0.7871


#R has the most favorable energy; the next structure is 6 meV per atom above.


#P
The following is a GGA-PBE calculation of a relaxed structure of Li3Cu2F8, from the Materials Project.

Values from the calculation:
The calculation puts the theoretical density at 3.39 Mg/m³.

Cell lengths 5.9131, 5.1753, 9.6410 Å; angles 90.00, 94.62, 90.00 degrees
Element x y z (fractional)
Li 0.0000 0.0000 0.0000
Li 0.0000 0.5000 0.5000
Li 0.3449 0.0034 0.7527
Li 0.3449 0.4966 0.2527
Li 0.6551 0.5034 0.7473
Li 0.6551 0.9966 0.2473
Cu 0.1378 0.5062 0.8690
Cu 0.1378 0.9938 0.3690
Cu 0.8622 0.0062 0.6310
Cu 0.8622 0.4938 0.1310
F 0.0409 0.6911 0.6826
F 0.0409 0.8089 0.1826
F 0.1464 0.1487 0.5685
F 0.1464 0.3513 0.0685
F 0.2782 0.6756 0.4197
F 0.2782 0.8244 0.9197
F 0.4025 0.1541 0.3132
F 0.4025 0.3459 0.8132
F 0.5975 0.6541 0.1868
F 0.5975 0.8459 0.6868
F 0.7218 0.1756 0.0803
F 0.7218 0.3244 0.5803
F 0.8536 0.6487 0.9315
F 0.8536 0.8513 0.4315
F 0.9591 0.1911 0.8174
F 0.9591 0.3089 0.3174


#Q
The following is a GGA-PBE calculation of a relaxed structure of Li3Cu2F8, from the Materials Project.

Values from the calculation:
The calculation puts the theoretical density at 3.29 Mg/m³.

Cell lengths 5.4489, 5.7759, 6.0461 Å; angles 62.06, 68.02, 68.04 degrees
Element x y z (fractional)
Li 0.0000 0.0000 0.0000
Li 0.0346 0.1151 0.5037
Li 0.2065 0.3667 0.9485
Cu 0.5670 0.6754 0.2178
Cu 0.6223 0.6902 0.7031
F 0.2607 0.9798 0.1844
F 0.3056 0.9813 0.6917
F 0.4278 0.5218 0.0698
F 0.4377 0.5176 0.6206
F 0.7474 0.8481 0.3175
F 0.7986 0.8678 0.7956
F 0.8865 0.3946 0.2266
F 0.9186 0.3751 0.7472


#P has the most favorable energy; the next structure is 27 meV per atom above.


#P
The following is a GGA-PBE calculation of a relaxed structure of Li3CuF4, from the Materials Project.

Values from the calculation:
Its largest piezoelectric modulus is 1.3 C/m². The calculation puts the theoretical density at 2.91 Mg/m³.

Cell lengths 6.4369, 5.5453, 5.1241 Å; angles 90.00, 90.00, 90.00 degrees
Element x y z (fractional)
Li 0.0000 0.1722 0.0000
Li 0.2494 0.6657 0.9987
Li 0.2506 0.3343 0.4987
Li 0.5000 0.8278 0.5000
Li 0.7494 0.3343 0.4987
Li 0.7506 0.6657 0.9987
Cu 0.0000 0.8313 0.4968
Cu 0.5000 0.1687 0.9968
F 0.0000 0.1951 0.3707
F 0.0000 0.8386 0.9121
F 0.2310 0.3452 0.8694
F 0.2690 0.6548 0.3694
F 0.5000 0.1614 0.4121
F 0.5000 0.8049 0.8707
F 0.7310 0.6548 0.3694
F 0.7690 0.3452 0.8694


#Q
The following is a GGA-PBE calculation of a relaxed structure of Li3CuF4, from the Materials Project.

Values from the calculation:
The calculation puts the theoretical density at 3.62 Mg/m³.

Cell lengths 2.8802, 2.8802, 20.4522 Å; angles 90.00, 90.00, 120.00 degrees
Element x y z (fractional)
Li 0.0000 0.0000 0.0000
Li 0.0000 0.0000 0.5000
Li 0.3333 0.6667 0.1159
Li 0.3333 0.6667 0.3841
Li 0.6667 0.3333 0.6159
Li 0.6667 0.3333 0.8841
Cu 0.3333 0.6667 0.7500
Cu 0.6667 0.3333 0.2500
F 0.0000 0.0000 0.1717
F 0.0000 0.0000 0.3283
F 0.0000 0.0000 0.6717
F 0.0000 0.0000 0.8283
F 0.3333 0.6667 0.5581
F 0.3333 0.6667 0.9419
F 0.6667 0.3333 0.0581
F 0.6667 0.3333 0.4419


#Q has the most favorable energy; the next structure is 13 meV per atom above.


#P
The following is a GGA-PBE calculation of a relaxed structure of Li5CuF6, from the Materials Project.

Values from the calculation:
The calculation puts the theoretical density at 3.18 Mg/m³.

Cell lengths 8.7026, 8.7026, 5.0750 Å; angles 94.99, 94.99, 60.40 degrees
Element x y z (fractional)
Li 0.0000 0.0000 0.0000
Li 0.0016 0.3330 0.5578
Li 0.1641 0.4966 0.9354
Li 0.1669 0.8331 0.5000
Li 0.3302 0.3302 0.4320
Li 0.3330 0.0016 0.5578
Li 0.3333 0.6667 0.0000
Li 0.4966 0.1641 0.9354
Li 0.5034 0.8359 0.0646
Li 0.6667 0.3333 0.0000
Li 0.6670 0.9984 0.4422
Li 0.6698 0.6698 0.5680
Li 0.8331 0.1669 0.5000
Li 0.8359 0.5034 0.0646
Li 0.9984 0.6670 0.4422
Cu 0.1680 0.1680 0.0578
Cu 0.5000 0.5000 0.5000
Cu 0.8320 0.8320 0.9422
F 0.0809 0.4336 0.2512
F 0.0821 0.0821 0.3792
F 0.0972 0.7493 0.1501
F 0.2345 0.5866 0.6436
F 0.2507 0.9028 0.8499
F 0.2517 0.2517 0.7243
F 0.4102 0.4102 0.1116
F 0.4134 0.7655 0.3564
F 0.4336 0.0809 0.2512
F 0.5664 0.9191 0.7488
F 0.5866 0.2345 0.6436
F 0.5898 0.5898 0.8884
F 0.7483 0.7483 0.2757
F 0.7493 0.0972 0.1501
F 0.7655 0.4134 0.3564
F 0.9028 0.2507 0.8499
F 0.9179 0.9179 0.6208
F 0.9191 0.5664 0.7488


#Q
The following is a GGA-PBE calculation of a relaxed structure of Li5CuF6, from the Materials Project.

Values from the calculation:
The calculation puts the theoretical density at 3.19 Mg/m³.

Cell lengths 5.1373, 5.1373, 5.1465 Å; angles 100.11, 100.11, 119.63 degrees
Element x y z (fractional)
Li 0.0000 0.0000 0.0000
Li 0.1672 0.8328 0.5000
Li 0.3343 0.6657 0.0000
Li 0.6657 0.3343 0.0000
Li 0.8328 0.1672 0.5000
Cu 0.5000 0.5000 0.5000
F 0.0602 0.4145 0.2455
F 0.2338 0.2338 0.7705
F 0.4145 0.0602 0.2455
F 0.5855 0.9398 0.7545
F 0.7662 0.7662 0.2295
F 0.9398 0.5855 0.7545


#Q has the most favorable energy; the next structure is 25 meV per atom above.


#P
The following is a GGA-PBE calculation of a relaxed structure of MgCu2O4F2, from the Materials Project.

Values from the calculation:
The calculation puts the theoretical density at 3.81 Mg/m³.

Cell lengths 6.7557, 6.7557, 5.3176 Å; angles 108.38, 108.38, 28.80 degrees
Element x y z (fractional)
Mg 0.0000 0.0000 0.0000
Cu 0.4999 0.4999 0.4984
Cu 0.7450 0.7450 0.6813
O 0.0731 0.0731 0.4136
O 0.1904 0.1904 0.5045
O 0.5733 0.5733 0.8829
O 0.6879 0.6879 0.9611
F 0.4225 0.4225 0.0931
F 0.8942 0.8942 0.6351


#Q
The following is a GGA-PBE calculation of a relaxed structure of MgCu2O4F2, from the Materials Project.

Values from the calculation:
The calculation puts the theoretical density at 4.16 Mg/m³.

Cell lengths 6.6044, 6.6044, 5.1732 Å; angles 112.95, 112.95, 29.30 degrees
Element x y z (fractional)
Mg 0.0000 0.0000 0.0000
Cu 0.3474 0.3474 0.3346
Cu 0.6525 0.6525 0.6397
O 0.0635 0.0635 0.6915
O 0.4343 0.4343 0.0991
O 0.5660 0.5660 0.2311
O 0.9367 0.9367 0.5649
F 0.2494 0.2494 0.5445
F 0.7505 0.7505 0.0450


#P has the most favorable energy; the next structure is 50 meV per atom above.


#P
The following is a GGA-PBE calculation of a relaxed structure of MgCu2O4F2, from the Materials Project.

Values from the calculation:
The calculation puts the theoretical density at 4.02 Mg/m³.

Cell lengths 5.1526, 3.0295, 6.7341 Å; angles 90.00, 94.82, 90.00 degrees
Element x y z (fractional)
Mg 0.0000 0.0000 0.0000
Cu 0.2191 0.0000 0.6530
Cu 0.6657 0.5000 0.3256
O 0.0978 0.5000 0.8063
O 0.4661 0.0000 0.1083
O 0.5561 0.0000 0.9321
O 0.9234 0.5000 0.1633
F 0.3732 0.5000 0.4899
F 0.8255 0.0000 0.4921


#Q
The following is a GGA-PBE calculation of a relaxed structure of MgCu2O4F2, from the Materials Project.

Values from the calculation:
The calculation puts the theoretical density at 3.80 Mg/m³.

Cell lengths 5.4379, 3.2367, 6.4398 Å; angles 90.00, 102.06, 90.00 degrees
Element x y z (fractional)
Mg 0.0000 0.0000 0.0000
Cu 0.4807 0.5000 0.9343
Cu 0.8722 0.0000 0.4863
O 0.2220 0.0000 0.5912
O 0.2853 0.0000 0.8143
O 0.7426 0.5000 0.5853
O 0.7964 0.5000 0.8167
F 0.1749 0.5000 0.1375
F 0.7237 0.0000 0.1575


#Q has the most favorable energy; the next structure is 87 meV per atom above.